Ta2Be after structural relaxation. Source: Materials Project, functional PBE.

Calculated density ... 13.76 Mg/m³
Total energy ... -27.94 eV per formula unit
Formation energy ... -15.47 kJ per mole of atoms

Unit cell a=4.9258 b=4.9258 c=4.9258 alpha=104.36 beta=104.36 gamma=120.27
Sites, in units of the cell vectors:
Ta  0.1609  0.6609  0.8218
Ta  0.3391  0.1609  0.5000
Ta  0.6609  0.8391  0.5000
Ta  0.8391  0.3391  0.1782
Be  0.2500  0.2500  0.0000
Be  0.7500  0.7500  0.0000

***

TaBe12 after structural relaxation. Source: Materials Project, functional PBE.

Calculated density ... 4.28 Mg/m³
Total energy ... -58.54 eV per formula unit
Formation energy ... -13.44 kJ per mole of atoms

Unit cell a=5.5744 b=5.5744 c=5.5744 alpha=98.21 beta=98.21 gamma=135.58
Sites, in units of the cell vectors:
Ta  0.0000  0.0000  0.0000
Be  0.6473  0.0000  0.6473
Be  0.0000  0.5000  0.0000
Be  0.0000  0.6473  0.6473
Be  0.7157  0.5000  0.2157
Be  0.3527  0.0000  0.3527
Be  0.0000  0.0000  0.5000
Be  0.0000  0.3527  0.3527
Be  0.5000  0.2843  0.7843
Be  0.2843  0.5000  0.7843
Be  0.5000  0.5000  0.5000
Be  0.5000  0.7157  0.2157
Be  0.5000  0.0000  0.0000

***

TaBe2 after structural relaxation. Source: Materials Project, functional PBE.

Calculated density ... 9.52 Mg/m³
Total energy ... -19.90 eV per formula unit
Formation energy ... -18.23 kJ per mole of atoms

Unit cell a=4.6128 b=4.6128 c=4.6128 alpha=60.00 beta=60.00 gamma=60.00
Sites, in units of the cell vectors:
Ta  0.0000  0.0000  0.0000
Ta  0.2500  0.2500  0.2500
Be  0.6250  0.6250  0.6250
Be  0.1250  0.6250  0.6250
Be  0.6250  0.1250  0.6250
Be  0.6250  0.6250  0.1250

***

TaBe3 after structural relaxation. Source: Materials Project, functional PBE.

Calculated density ... 8.22 Mg/m³
Total energy ... -24.03 eV per formula unit
Formation energy ... -23.02 kJ per mole of atoms

Unit cell a=7.4621 b=7.4621 c=7.4621 alpha=35.62 beta=35.62 gamma=35.62
Sites, in units of the cell vectors:
Ta  0.8601  0.8601  0.8601
Ta  0.1399  0.1399  0.1399
Ta  0.0000  0.0000  0.0000
Be  0.4156  0.9248  0.4156
Be  0.4156  0.4156  0.9248
Be  0.9248  0.4156  0.4156
Be  0.5844  0.0752  0.5844
Be  0.5844  0.5844  0.0752
Be  0.0752  0.5844  0.5844
Be  0.6654  0.6654  0.6654
Be  0.3346  0.3346  0.3346
Be  0.5000  0.5000  0.5000